Record 1
A relaxed Nb3Au crystal. Source: the Materials Project database, functional GGA-PBE.

For the density, the calculation gives 10.88 g/cm³. As for the energy above the most stable polymorph in this dataset: 0.0057 eV/atom. The volume is 18.2 Å³/atom.

Structure (CIF):
```
data_Nb3Au
_symmetry_space_group_name_H-M 'P m -3 n'
_symmetry_Int_Tables_number 223
_symmetry_space_group_name_Hall '-P 4n 2 3'
_cell_length_a 5.256
_cell_length_b 5.256
_cell_length_c 5.256
_cell_angle_alpha 90.00
_cell_angle_beta 90.00
_cell_angle_gamma 90.00
loop_
_atom_site_label
_atom_site_type_symbol
_atom_site_fract_x
_atom_site_fract_y
_atom_site_fract_z
Nb1 Nb 0.000 0.250 0.500
Au1 Au 0.000 0.000 0.000
```


Record 2
A relaxed Nb3Au crystal. Source: the Materials Project database, functional GGA-PBE.

For the density, the calculation gives 10.91 g/cm³. As for the energy above the most stable polymorph in this dataset: 0.0000 eV/atom. The volume is 18.1 Å³/atom.

Structure (CIF):
```
data_Nb3Au
_symmetry_space_group_name_H-M 'C m m m'
_symmetry_Int_Tables_number 65
_symmetry_space_group_name_Hall '-C 2 2'
_cell_length_a 3.512
_cell_length_b 4.427
_cell_length_c 9.315
_cell_angle_alpha 90.00
_cell_angle_beta 90.00
_cell_angle_gamma 90.00
loop_
_atom_site_label
_atom_site_type_symbol
_atom_site_fract_x
_atom_site_fract_y
_atom_site_fract_z
Nb1 Nb 0.000 0.000 0.000
Nb2 Nb 0.000 0.500 0.251
Au1 Au 0.000 0.000 0.500
```


Record 3
A relaxed NbAu2 crystal. Source: the Materials Project database, functional GGA-PBE.

For the density, the calculation gives 15.18 g/cm³. For the raw total energy, the calculation gives -17.0 eV for the cell shown. The volume is 17.7 Å³/atom.

Structure (CIF):
```
data_NbAu2
_symmetry_space_group_name_H-M 'P 6/m m m'
_symmetry_Int_Tables_number 191
_symmetry_space_group_name_Hall '-P 6 2'
_cell_length_a 4.7088
_cell_length_b 4.7088
_cell_length_c 2.7729
_cell_angle_alpha 90.00
_cell_angle_beta 90.00
_cell_angle_gamma 120.00
loop_
_atom_site_label
_atom_site_type_symbol
_atom_site_fract_x
_atom_site_fract_y
_atom_site_fract_z
Nb1 Nb 0.0000 0.0000 0.0000
Au1 Au 0.3333 0.6667 0.5000
```


Record 4
A relaxed Nb3Au2 crystal. Source: the Materials Project database, functional GGA-PBE.

For the density, the calculation gives 12.33 g/cm³. As for the energy above the most stable polymorph in this dataset: 0.0000 eV/atom. The volume is 18.1 Å³/atom.

Structure (CIF):
```
data_Nb3Au2
_symmetry_space_group_name_H-M 'I 4/m m m'
_symmetry_Int_Tables_number 139
_symmetry_space_group_name_Hall '-I 4 2'
_cell_length_a 3.427
_cell_length_b 3.427
_cell_length_c 15.421
_cell_angle_alpha 90.00
_cell_angle_beta 90.00
_cell_angle_gamma 90.00
loop_
_atom_site_label
_atom_site_type_symbol
_atom_site_fract_x
_atom_site_fract_y
_atom_site_fract_z
Nb1 Nb 0.000 0.000 0.000
Nb2 Nb 0.000 0.000 0.401
Au1 Au 0.000 0.000 0.199
```